[1]
## VIr (PBE-GGA)

Data for an optimized crystal structure of VIr.

Cell lengths 5.2557, 5.2557, 4.0633 Å; angles 90.00, 90.00, 95.89 degrees
Fractional positions:
V (0.0937, 0.9063, 0.7500)
V (0.3323, 0.6677, 0.2500)
V (0.6677, 0.3323, 0.7500)
V (0.9063, 0.0937, 0.2500)
Ir (0.1565, 0.4045, 0.7500)
Ir (0.4045, 0.1565, 0.2500)
Ir (0.5955, 0.8435, 0.7500)
Ir (0.8435, 0.5955, 0.2500)

- energy of formation from the pure elements (eV per atom) = -0.5231
- E (eV/f.u.) = -18.97
- symmetry = Cmcm (63)

***

[2]
## LiH12AuC4S4O12 (PBE-GGA)

Data for an optimized crystal structure of LiH12AuC4S4O12.

Cell lengths 8.4022, 8.4022, 8.4022 Å; angles 109.83, 109.83, 108.76 degrees
Fractional positions:
Li (0.0000, 0.0000, 0.0000)
H (0.1438, 0.5281, 0.8108)
H (0.2004, 0.4468, 0.9860)
H (0.4608, 0.2144, 0.0140)
H (0.4719, 0.2827, 0.6156)
H (0.5462, 0.1200, 0.1682)
H (0.5532, 0.5392, 0.7536)
H (0.6220, 0.4538, 0.5739)
H (0.6671, 0.8562, 0.3844)
H (0.7173, 0.3329, 0.1892)
H (0.7856, 0.7996, 0.2464)
H (0.8800, 0.0482, 0.4261)
H (0.9518, 0.3780, 0.8318)
Au (0.2500, 0.7500, 0.5000)
C (0.1043, 0.4911, 0.9101)
C (0.5089, 0.4190, 0.6132)
C (0.5810, 0.1942, 0.0899)
C (0.8058, 0.8957, 0.3868)
S (0.1363, 0.7042, 0.0887)
S (0.2958, 0.3845, 0.4321)
S (0.6155, 0.0475, 0.9113)
S (0.9525, 0.8637, 0.5679)
O (0.0022, 0.7596, 0.9914)
O (0.0604, 0.6312, 0.2106)
O (0.1502, 0.9396, 0.5707)
O (0.1517, 0.3599, 0.4930)
O (0.2404, 0.2318, 0.2426)
O (0.3413, 0.8483, 0.2082)
O (0.3688, 0.5794, 0.4293)
O (0.4206, 0.8498, 0.7894)
O (0.6401, 0.1331, 0.7918)
O (0.7682, 0.0108, 0.0086)
O (0.8669, 0.6587, 0.5070)
O (0.9892, 0.9978, 0.7574)

- energy of formation from the pure elements (eV per atom) = -0.9760
- E (eV/f.u.) = -183.67
- symmetry = I-4 (82)
- corrected total energy (MP2020 scheme) (eV per atom) = -5.645
- total moment (μB/atom) = 0.000

***

[3]
## LiNbO3 (PBE-GGA)

Data for an optimized crystal structure of LiNbO3.

Cell lengths 5.2215, 5.6780, 56.3922 Å; angles 87.90, 89.96, 62.78 degrees
Fractional positions:
Li (0.0000, 0.0000, 0.0000)
Li (0.0014, 0.0072, 0.2245)
Li (0.0753, 0.8800, 0.1161)
Li (0.0798, 0.8346, 0.6218)
Li (0.1497, 0.6999, 0.4556)
Li (0.2103, 0.5882, 0.2358)
Li (0.2250, 0.5654, 0.3484)
Li (0.2424, 0.5295, 0.8490)
Li (0.3151, 0.4125, 0.5768)
Li (0.3706, 0.2798, 0.4671)
Li (0.3781, 0.2409, 0.0766)
Li (0.3864, 0.2379, 0.3018)
Li (0.4545, 0.1081, 0.1940)
Li (0.4783, 0.0551, 0.6961)
Li (0.5277, 0.9404, 0.5343)
Li (0.5963, 0.8195, 0.3131)
Li (0.6101, 0.7948, 0.4255)
Li (0.6210, 0.7813, 0.1474)
Li (0.6309, 0.7545, 0.9245)
Li (0.7010, 0.6227, 0.0373)
Li (0.7603, 0.5155, 0.5446)
Li (0.7668, 0.4700, 0.3785)
Li (0.8224, 0.3576, 0.1585)
Li (0.8386, 0.3364, 0.2710)
Li (0.8528, 0.3013, 0.7718)
Li (0.9831, 0.0496, 0.3901)
Nb (0.0911, 0.8521, 0.6752)
Nb (0.0920, 0.8507, 0.1720)
Nb (0.1397, 0.7317, 0.2877)
Nb (0.1690, 0.6754, 0.7892)
Nb (0.2236, 0.5462, 0.4047)
Nb (0.2359, 0.5404, 0.9027)
Nb (0.3136, 0.4354, 0.5205)
Nb (0.3168, 0.4121, 0.0141)
Nb (0.3486, 0.2818, 0.1314)
Nb (0.3684, 0.2454, 0.6387)
Nb (0.4522, 0.0891, 0.7495)
Nb (0.4645, 0.0838, 0.2501)
Nb (0.5240, 0.9648, 0.3648)
Nb (0.5496, 0.9149, 0.8664)
Nb (0.5915, 0.7996, 0.9761)
Nb (0.6029, 0.7782, 0.4841)
Nb (0.7012, 0.6416, 0.6004)
Nb (0.7017, 0.6489, 0.0922)
Nb (0.7506, 0.5004, 0.2102)
Nb (0.7772, 0.4525, 0.7123)
Nb (0.8466, 0.3184, 0.3271)
Nb (0.8488, 0.3266, 0.8275)
Nb (0.9164, 0.1962, 0.4434)
Nb (0.9423, 0.1666, 0.9397)
Nb (0.9695, 0.0289, 0.0536)
Nb (0.9838, 0.0131, 0.5611)
O (0.0107, 0.7234, 0.0397)
O (0.0126, 0.5897, 0.9931)
O (0.0237, 0.3327, 0.7399)
O (0.0340, 0.5548, 0.3158)
O (0.0410, 0.1869, 0.6914)
O (0.0847, 0.4158, 0.9302)
O (0.0929, 0.1936, 0.0303)
O (0.0943, 0.1832, 0.3567)
O (0.1003, 0.4389, 0.6039)
O (0.1128, 0.5873, 0.6504)
O (0.1289, 0.0350, 0.3066)
O (0.1629, 0.0506, 0.6429)
O (0.1717, 0.2767, 0.2221)
O (0.1775, 0.0198, 0.9709)
O (0.1820, 0.2630, 0.5446)
O (0.1852, 0.4141, 0.2689)
O (0.1984, 0.8827, 0.9226)
O (0.2318, 0.1389, 0.8395)
O (0.2321, 0.8910, 0.2578)
O (0.2590, 0.8486, 0.5847)
O (0.2629, 0.0911, 0.1640)
O (0.2829, 0.2681, 0.8831)
O (0.2999, 0.7299, 0.5363)
O (0.3141, 0.9510, 0.7750)
O (0.3158, 0.7303, 0.2040)
O (0.3199, 0.9714, 0.4507)
O (0.3245, 0.7341, 0.8746)
O (0.3565, 0.0994, 0.4975)
O (0.3777, 0.5664, 0.1548)
O (0.3847, 0.5767, 0.4866)
O (0.3998, 0.9642, 0.1172)
O (0.4074, 0.5649, 0.8171)
O (0.4193, 0.7872, 0.3924)
O (0.4192, 0.8146, 0.0687)
O (0.4242, 0.4215, 0.7682)
O (0.4612, 0.4431, 0.1070)
O (0.4740, 0.4210, 0.4328)
O (0.4748, 0.6734, 0.6848)
O (0.4766, 0.6507, 0.0099)
O (0.5143, 0.2727, 0.3829)
O (0.5228, 0.8100, 0.7290)
O (0.5507, 0.2789, 0.7201)
O (0.5598, 0.5039, 0.2988)
O (0.5639, 0.4852, 0.6219)
O (0.5711, 0.6451, 0.3456)
O (0.5722, 0.2639, 0.0489)
O (0.5850, 0.1063, 0.0003)
O (0.6137, 0.1181, 0.3344)
O (0.6209, 0.3611, 0.9166)
O (0.6322, 0.1024, 0.6631)
O (0.6481, 0.3277, 0.2393)
O (0.6543, 0.4953, 0.9618)
O (0.6535, 0.9611, 0.6134)
O (0.6978, 0.2091, 0.5282)
O (0.6995, 0.1760, 0.8511)
O (0.7046, 0.9568, 0.2800)
O (0.7119, 0.9561, 0.9515)
O (0.7173, 0.3363, 0.5738)
O (0.7489, 0.8058, 0.2301)
O (0.7907, 0.7995, 0.5626)
O (0.7916, 0.0178, 0.4663)
O (0.7916, 0.1916, 0.1927)
O (0.7979, 0.0345, 0.1466)
O (0.7984, 0.7905, 0.8940)
O (0.8092, 0.6516, 0.8456)
O (0.8435, 0.9161, 0.7633)
O (0.8459, 0.6621, 0.1817)
O (0.8545, 0.6372, 0.5100)
O (0.8717, 0.8808, 0.0881)
O (0.9012, 0.5022, 0.4591)
O (0.9113, 0.0419, 0.8055)
O (0.9326, 0.5081, 0.7971)
O (0.9406, 0.5005, 0.1285)
O (0.9419, 0.7147, 0.6983)
O (0.9456, 0.7351, 0.3752)
O (0.9552, 0.8710, 0.4212)
O (0.9689, 0.3404, 0.0785)
O (0.9976, 0.3488, 0.4105)

- energy of formation from the pure elements (eV per atom) = -2.7843
- E (eV/f.u.) = -38.71
- symmetry = P1 (1)
- corrected total energy (MP2020 scheme) (eV per atom) = -8.155
- total moment (μB/atom) = 0.021

***

[4]
## LiSiC2 (PBE-GGA)

Data for an optimized crystal structure of LiSiC2.

Cell lengths 4.0100, 4.0100, 5.4782 Å; angles 90.00, 90.00, 90.00 degrees
Fractional positions:
Li (0.0000, 0.0000, 0.2500)
Li (0.0000, 0.0000, 0.7500)
Si (0.5000, 0.5000, 0.2500)
Si (0.5000, 0.5000, 0.7500)
C (0.1771, 0.5000, 0.0000)
C (0.5000, 0.1771, 0.5000)
C (0.5000, 0.8229, 0.5000)
C (0.8229, 0.5000, 0.0000)

- energy of formation from the pure elements (eV per atom) = 0.0986
- E (eV/f.u.) = -25.40
- symmetry = P4_2/mmc (131)
- total moment (μB/atom) = 0.000

***

[5]
## CoBr2 (PBE-GGA)

Data for an optimized crystal structure of CoBr2.

Cell lengths 3.7379, 3.7379, 6.9066 Å; angles 90.00, 90.00, 120.00 degrees
Fractional positions:
Co (0.0000, 0.0000, 0.0000)
Br (0.3333, 0.6667, 0.7931)
Br (0.6667, 0.3333, 0.2069)

- energy of formation from the pure elements (eV per atom) = -0.6761
- E (eV/f.u.) = -11.34
- symmetry = P-3m1 (164)
- corrected total energy (MP2020 scheme) (eV per atom) = -4.137

***

[6]
## Na7Zr3TaSi6O24 (PBE-GGA)

Data for an optimized crystal structure of Na7Zr3TaSi6O24.

Cell lengths 9.2377, 9.2382, 22.7838 Å; angles 90.03, 90.02, 119.95 degrees
Fractional positions:
Na (0.0000, 0.0000, 0.0000)
Na (0.0005, 0.6298, 0.4957)
Na (0.2578, 0.2559, 0.4950)
Na (0.2875, 0.5884, 0.3299)
Na (0.2890, 0.3192, 0.8315)
Na (0.2936, 0.9469, 0.0792)
Na (0.2940, 0.9601, 0.5800)
Na (0.3245, 0.2985, 0.1651)
Na (0.3281, 0.6611, 0.6637)
Na (0.5936, 0.2939, 0.6635)
Na (0.6027, 0.9311, 0.1642)
Na (0.6233, 0.2532, 0.0004)
Na (0.6239, 0.9953, 0.4953)
Na (0.6277, 0.6272, 0.7456)
Na (0.6384, 0.6278, 0.2495)
Na (0.6599, 0.9658, 0.8312)
Na (0.9342, 0.5961, 0.8310)
Na (0.9491, 0.2823, 0.4092)
Na (0.9558, 0.6506, 0.1650)
Na (0.9606, 0.9266, 0.6635)
Na (0.9706, 0.3044, 0.9179)
Zr (0.2936, 0.9547, 0.9350)
Zr (0.2942, 0.9601, 0.7301)
Zr (0.2946, 0.9624, 0.4316)
Zr (0.6253, 0.6273, 0.1006)
Zr (0.6275, 0.6271, 0.5994)
Zr (0.9548, 0.2882, 0.2693)
Zr (0.9606, 0.2933, 0.7666)
Zr (0.9609, 0.2939, 0.5603)
Zr (0.9664, 0.2999, 0.0618)
Ta (0.2941, 0.9623, 0.2315)
Ta (0.6258, 0.6271, 0.8970)
Ta (0.6308, 0.6269, 0.3915)
Si (0.2530, 0.5916, 0.1680)
Si (0.2552, 0.2928, 0.6644)
Si (0.2983, 0.2576, 0.3325)
Si (0.2985, 0.6649, 0.8309)
Si (0.3334, 0.3360, 0.9978)
Si (0.3375, 0.6272, 0.4959)
Si (0.5881, 0.9578, 0.3327)
Si (0.5891, 0.2602, 0.8328)
Si (0.6272, 0.3374, 0.4970)
Si (0.6274, 0.9202, 0.9987)
Si (0.6639, 0.2887, 0.1642)
Si (0.6652, 0.9994, 0.6643)
Si (0.9164, 0.9166, 0.4967)
Si (0.9188, 0.6261, 0.9983)
Si (0.9616, 0.5891, 0.6645)
Si (0.9665, 0.0012, 0.1642)
Si (0.9949, 0.9562, 0.8331)
Si (0.9976, 0.6691, 0.3319)
O (0.0005, 0.1160, 0.1047)
O (0.0801, 0.9223, 0.7749)
O (0.0991, 0.7970, 0.9932)
O (0.1004, 0.7921, 0.2748)
O (0.1035, 0.9384, 0.4934)
O (0.1116, 0.7548, 0.3905)
O (0.1170, 0.9913, 0.8894)
O (0.1273, 0.5008, 0.1116)
O (0.1299, 0.7743, 0.6690)
O (0.1342, 0.4777, 0.8273)
O (0.1371, 0.9850, 0.1734)
O (0.1386, 0.2659, 0.6065)
O (0.1396, 0.2873, 0.3273)
O (0.1470, 0.3139, 0.9996)
O (0.1538, 0.4564, 0.4995)
O (0.1661, 0.3184, 0.7229)
O (0.1723, 0.4740, 0.2252)
O (0.2632, 0.7590, 0.8847)
O (0.2714, 0.1240, 0.6691)
O (0.2716, 0.7801, 0.1736)
O (0.2752, 0.1492, 0.3918)
O (0.3142, 0.7920, 0.4942)
O (0.3168, 0.1544, 0.2752)
O (0.3184, 0.1517, 0.9932)
O (0.3332, 0.7805, 0.7719)
O (0.4364, 0.6050, 0.4390)
O (0.4367, 0.4531, 0.9397)
O (0.4408, 0.4604, 0.6615)
O (0.4407, 0.6154, 0.1605)
O (0.4462, 0.4220, 0.0563)
O (0.4484, 0.6539, 0.5558)
O (0.4605, 0.9339, 0.2764)
O (0.4622, 0.1501, 0.4941)
O (0.4676, 0.6482, 0.8393)
O (0.4682, 0.9503, 0.9941)
O (0.4693, 0.4442, 0.3370)
O (0.4707, 0.1742, 0.7746)
O (0.4774, 0.1186, 0.1744)
O (0.4805, 0.9840, 0.6687)
O (0.5004, 0.1385, 0.8890)
O (0.5002, 0.9774, 0.3921)
O (0.5905, 0.7796, 0.3368)
O (0.6005, 0.4186, 0.5575)
O (0.6073, 0.4477, 0.8390)
O (0.6096, 0.8143, 0.0581)
O (0.6377, 0.4518, 0.1601)
O (0.6436, 0.8157, 0.9411)
O (0.6471, 0.4630, 0.4418)
O (0.6465, 0.8135, 0.6614)
O (0.7423, 0.2517, 0.1046)
O (0.7554, 0.1161, 0.6065)
O (0.7718, 0.1192, 0.3267)
O (0.7763, 0.2825, 0.8276)
O (0.7798, 0.0879, 0.7229)
O (0.7898, 0.8126, 0.4416)
O (0.7940, 0.3274, 0.2179)
O (0.7942, 0.6076, 0.6617)
O (0.7974, 0.6090, 0.9407)
O (0.7983, 0.3251, 0.4992)
O (0.8013, 0.1009, 0.9991)
O (0.8029, 0.8121, 0.1608)
O (0.8072, 0.7873, 0.8396)
O (0.8133, 0.6548, 0.3378)
O (0.8309, 0.6497, 0.0569)
O (0.8359, 0.8079, 0.5572)
O (0.9218, 0.4511, 0.0000)
O (0.9291, 0.1002, 0.4994)
O (0.9319, 0.0951, 0.2179)
O (0.9360, 0.4745, 0.7230)
O (0.9722, 0.1206, 0.8274)
O (0.9875, 0.4893, 0.3260)
O (0.9885, 0.4993, 0.6066)

- energy of formation from the pure elements (eV per atom) = -3.1215
- E (eV/f.u.) = -309.55
- symmetry = P1 (1)
- corrected total energy (MP2020 scheme) (eV per atom) = -7.952
- total moment (μB/atom) = 0.000